Record 1
Entry from the Materials Project database: a relaxed structure of Pb (PBE-GGA).

Cell lengths 5.0505, 5.0505, 5.0505 Å; angles 90.00, 90.00, 90.00 degrees
Space group Fm-3m (No. 225)
Asymmetric unit:
Pb: 0.0000 0.0000 0.0000 (multiplicity 4)

Summary:
Electronic total energy   -3.713 eV/atom
Excess energy over the best structure of this formula in the dataset   0.0 kJ/mol of formula units
Energy relative to the elements   0.0000 eV per atom

Record 2
Entry from the Materials Project database: a relaxed structure of LiAlP4O12 (PBE-GGA).

Cell lengths 12.5850, 8.3617, 9.0532 Å; angles 90.00, 90.00, 90.00 degrees
Space group Pbcn (No. 60)
Asymmetric unit:
Li: 0.0000 0.0059 0.2500 (multiplicity 4)
Al: 0.0000 0.3680 0.2500 (multiplicity 4)
P: 0.1390 0.1829 0.0064 (multiplicity 8)
P: 0.1481 0.4644 0.5119 (multiplicity 8)
O: 0.0634 0.1991 0.1367 (multiplicity 8)
O: 0.0680 0.4732 0.6349 (multiplicity 8)
O: 0.1042 0.0934 0.8744 (multiplicity 8)
O: 0.1191 0.3668 0.3786 (multiplicity 8)
O: 0.1808 0.3586 0.9605 (multiplicity 8)
O: 0.2446 0.1055 0.0798 (multiplicity 8)

Summary:
Electronic total energy   -7.159 eV/atom
Total magnetic moment   0.000 μB per atom
Energy relative to the elements   -2.8008 eV per atom

Record 3
Entry from the Materials Project database: a relaxed structure of RbMg14BO16 (PBE-GGA).

Cell lengths 4.5464, 8.1986, 8.9661 Å; angles 90.00, 90.00, 90.00 degrees
Space group Pmmm (No. 47)
Asymmetric unit:
Rb: 0.0000 0.0000 0.0000 (multiplicity 1)
Mg: 0.0000 0.0000 0.5000 (multiplicity 1)
Mg: 0.0000 0.2546 0.2680 (multiplicity 4)
Mg: 0.0000 0.5000 0.5000 (multiplicity 1)
Mg: 0.5000 0.0000 0.2557 (multiplicity 2)
Mg: 0.5000 0.2512 0.5000 (multiplicity 2)
Mg: 0.5000 0.2590 0.0000 (multiplicity 2)
Mg: 0.5000 0.5000 0.2464 (multiplicity 2)
B: 0.0000 0.5000 0.0000 (multiplicity 1)
O: 0.0000 0.0000 0.2785 (multiplicity 2)
O: 0.0000 0.2518 0.5000 (multiplicity 2)
O: 0.0000 0.3352 0.0000 (multiplicity 2)
O: 0.0000 0.5000 0.2694 (multiplicity 2)
O: 0.5000 0.0000 0.0000 (multiplicity 1)
O: 0.5000 0.0000 0.5000 (multiplicity 1)
O: 0.5000 0.2496 0.2454 (multiplicity 4)
O: 0.5000 0.5000 0.0000 (multiplicity 1)
O: 0.5000 0.5000 0.5000 (multiplicity 1)

Summary:
Electronic total energy   -5.801 eV/atom
Total magnetic moment   0.000 μB per atom
Excess energy over the best structure of this formula in the dataset   0.0 kJ/mol of formula units
Energy relative to the elements   -2.7311 eV per atom

Question: What is the formula in the first record?
Answer: Pb

Question: Which formula does entry 2 have?
Answer: LiAlP4O12

Question: What is the energy relative to the elements in the first record?
Answer: 0.0000 eV per atom